# 1
{"formula": "CeEr3", "functional": "PBE-GGA", "state": "optimized geometry", "cell": [[-2.496, 2.496, 4.970], [2.496, -2.496, 4.970], [2.496, 2.496, -4.970]], "species": ["Ce", "Er", "Er", "Er"], "fractional_positions": [[0.000, 0.000, 0.000], [0.750, 0.250, 0.500], [0.250, 0.750, 0.500], [0.500, 0.500, 0.000]], "magnetic_moment_mub_per_fu": 0.76, "final_energy_ev_per_cell": -19.307, "space_group": "I4/mmm, No. 139", "ef_ev_per_atom": 0.08}

=====

# 2
{"formula": "MgSn2O4", "functional": "PBE-GGA", "state": "optimized geometry", "cell": [[-3.792, -4.002, -3.653], [2.766, -4.911, -3.459], [-1.743, -9.934, 12.409]], "species": ["Mg", "Mg", "Mg", "Mg", "Mg", "Mg", "Sn", "Sn", "Sn", "Sn", "Sn", "Sn", "Sn", "Sn", "Sn", "Sn", "Sn", "Sn", "O", "O", "O", "O", "O", "O", "O", "O", "O", "O", "O", "O", "O", "O", "O", "O", "O", "O", "O", "O", "O", "O", "O", "O"], "fractional_positions": [[0.833, 0.833, 0.048], [0.506, 0.506, 0.383], [0.500, 0.500, 0.000], [0.172, 0.172, 0.717], [0.829, 0.829, 0.281], [0.494, 0.494, 0.620], [0.337, 0.825, 0.164], [0.337, 0.337, 0.164], [0.001, 0.502, 0.499], [0.825, 0.337, 0.164], [0.164, 0.164, 0.331], [0.002, 0.002, 0.499], [0.667, 0.171, 0.835], [0.502, 0.001, 0.499], [0.171, 0.667, 0.835], [0.837, 0.837, 0.666], [0.666, 0.666, 0.834], [0.166, 0.166, 0.949], [0.652, 0.652, 0.082], [0.496, 0.496, 0.247], [0.198, 0.648, 0.082], [0.648, 0.198, 0.082], [0.002, 0.503, 0.230], [0.330, 0.330, 0.429], [0.503, 0.002, 0.230], [0.168, 0.168, 0.104], [0.838, 0.361, 0.426], [0.179, 0.179, 0.578], [0.995, 0.995, 0.231], [0.361, 0.838, 0.426], [0.632, 0.162, 0.579], [0.008, 0.008, 0.771], [0.162, 0.632, 0.579], [0.816, 0.816, 0.419], [0.833, 0.833, 0.910], [0.490, 0.004, 0.773], [0.674, 0.674, 0.573], [0.004, 0.490, 0.773], [0.365, 0.773, 0.911], [0.503, 0.503, 0.755], [0.773, 0.365, 0.911], [0.362, 0.362, 0.911]], "magnetic_moment_mub_per_fu": 0.02, "final_energy_ev_per_cell": -243.299, "space_group": "Cm, No. 8", "ef_ev_per_atom": -1.98}

=====

# 3
{"formula": "Li4CuF7", "functional": "PBE-GGA", "state": "optimized geometry", "cell": [[0.654, -5.688, 1.435], [2.447, -1.478, 5.164], [-3.319, -2.367, 4.269]], "species": ["Li", "Li", "Li", "Li", "Cu", "F", "F", "F", "F", "F", "F", "F"], "fractional_positions": [[0.627, 0.119, 0.627], [0.119, 0.627, 0.627], [0.627, 0.627, 0.119], [0.627, 0.627, 0.627], [0.000, 0.000, 0.000], [0.233, 0.233, 0.767], [0.767, 0.233, 0.233], [0.767, 0.233, 0.767], [0.750, 0.750, 0.750], [0.767, 0.767, 0.233], [0.233, 0.767, 0.233], [0.233, 0.767, 0.767]], "magnetic_moment_mub_per_fu": 2.00, "final_energy_ev_per_cell": -53.852, "space_group": "F-43m, No. 216", "ef_ev_per_atom": -2.66, "piezo_max_c_m2": 0.377}

=====

# 4
{"formula": "K2InHgCl6", "functional": "PBE-GGA", "state": "optimized geometry", "cell": [[0.000, 5.389, 5.389], [5.389, 0.000, 5.389], [5.389, 5.389, 0.000]], "species": ["K", "K", "In", "Hg", "Cl", "Cl", "Cl", "Cl", "Cl", "Cl"], "fractional_positions": [[0.750, 0.750, 0.750], [0.250, 0.250, 0.250], [0.000, 0.000, 0.000], [0.500, 0.500, 0.500], [0.761, 0.239, 0.239], [0.239, 0.239, 0.761], [0.239, 0.761, 0.761], [0.239, 0.761, 0.239], [0.761, 0.239, 0.761], [0.761, 0.761, 0.239]], "magnetic_moment_mub_per_fu": 0.00, "final_energy_ev_per_cell": -28.893, "space_group": "Fm-3m, No. 225", "ef_ev_per_atom": -1.62}

=====

# 5
{"formula": "Y10Cd3Ni", "functional": "PBE-GGA", "state": "optimized geometry", "cell": [[-3.692, -1.695, 8.746], [-2.370, -5.687, -7.419], [7.557, -5.836, 2.059]], "species": ["Y", "Y", "Y", "Y", "Y", "Y", "Y", "Y", "Y", "Y", "Y", "Y", "Y", "Y", "Y", "Y", "Y", "Y", "Y", "Y", "Cd", "Cd", "Cd", "Cd", "Cd", "Cd", "Ni", "Ni"], "fractional_positions": [[0.000, 0.000, 0.500], [0.000, 0.000, 0.000], [0.544, 0.456, 0.250], [0.544, 0.087, 0.250], [0.913, 0.456, 0.250], [0.456, 0.544, 0.750], [0.456, 0.913, 0.750], [0.087, 0.544, 0.750], [0.210, 0.790, 0.437], [0.210, 0.420, 0.437], [0.580, 0.790, 0.437], [0.790, 0.210, 0.563], [0.790, 0.580, 0.563], [0.420, 0.210, 0.563], [0.790, 0.210, 0.937], [0.790, 0.580, 0.937], [0.420, 0.210, 0.937], [0.210, 0.790, 0.063], [0.210, 0.420, 0.063], [0.580, 0.790, 0.063], [0.884, 0.116, 0.250], [0.884, 0.768, 0.250], [0.232, 0.116, 0.250], [0.116, 0.884, 0.750], [0.116, 0.232, 0.750], [0.768, 0.884, 0.750], [0.333, 0.667, 0.250], [0.667, 0.333, 0.750]], "magnetic_moment_mub_per_fu": 0.37, "final_energy_ev_per_cell": -153.352, "space_group": "P6_3/mmc, No. 194", "ef_ev_per_atom": -0.25}

=====

# 6
{"formula": "ThZrF8", "functional": "PBE-GGA", "state": "optimized geometry", "cell": [[8.633, 0.000, 0.000], [0.000, 8.355, 0.000], [0.000, 3.190, 16.321]], "species": ["Th", "Th", "Th", "Th", "Th", "Th", "Th", "Th", "Zr", "Zr", "Zr", "Zr", "Zr", "Zr", "Zr", "Zr", "F", "F", "F", "F", "F", "F", "F", "F", "F", "F", "F", "F", "F", "F", "F", "F", "F", "F", "F", "F", "F", "F", "F", "F", "F", "F", "F", "F", "F", "F", "F", "F", "F", "F", "F", "F", "F", "F", "F", "F", "F", "F", "F", "F", "F", "F", "F", "F", "F", "F", "F", "F", "F", "F", "F", "F", "F", "F", "F", "F", "F", "F", "F", "F"], "fractional_positions": [[0.907, 0.222, 0.322], [0.407, 0.778, 0.178], [0.093, 0.778, 0.678], [0.593, 0.222, 0.822], [0.403, 0.334, 0.388], [0.903, 0.666, 0.112], [0.597, 0.666, 0.612], [0.097, 0.334, 0.888], [0.776, 0.705, 0.364], [0.276, 0.295, 0.136], [0.224, 0.295, 0.636], [0.724, 0.705, 0.864], [0.765, 0.174, 0.579], [0.265, 0.826, 0.921], [0.235, 0.826, 0.421], [0.735, 0.174, 0.079], [0.721, 0.420, 0.575], [0.221, 0.580, 0.925], [0.279, 0.580, 0.425], [0.779, 0.420, 0.075], [0.793, 0.959, 0.353], [0.293, 0.041, 0.147], [0.207, 0.041, 0.647], [0.707, 0.959, 0.853], [0.590, 0.543, 0.403], [0.090, 0.457, 0.097], [0.410, 0.457, 0.597], [0.910, 0.543, 0.903], [0.633, 0.953, 0.591], [0.133, 0.047, 0.909], [0.367, 0.047, 0.409], [0.867, 0.953, 0.091], [0.876, 0.744, 0.248], [0.376, 0.256, 0.252], [0.124, 0.256, 0.752], [0.624, 0.744, 0.748], [0.713, 0.154, 0.701], [0.213, 0.846, 0.799], [0.287, 0.846, 0.299], [0.787, 0.154, 0.201], [0.867, 0.163, 0.468], [0.367, 0.837, 0.032], [0.133, 0.837, 0.532], [0.633, 0.163, 0.968], [0.866, 0.472, 0.375], [0.366, 0.528, 0.125], [0.134, 0.528, 0.625], [0.634, 0.472, 0.875], [0.090, 0.207, 0.212], [0.590, 0.793, 0.288], [0.910, 0.793, 0.788], [0.410, 0.207, 0.712], [0.741, 0.731, 0.485], [0.241, 0.269, 0.015], [0.259, 0.269, 0.515], [0.759, 0.731, 0.985], [0.086, 0.022, 0.376], [0.586, 0.978, 0.124], [0.914, 0.978, 0.624], [0.414, 0.022, 0.876], [0.013, 0.726, 0.402], [0.513, 0.274, 0.098], [0.987, 0.274, 0.598], [0.487, 0.726, 0.902], [0.390, 0.549, 0.279], [0.890, 0.451, 0.221], [0.610, 0.451, 0.721], [0.110, 0.549, 0.779], [0.144, 0.337, 0.352], [0.644, 0.663, 0.148], [0.856, 0.663, 0.648], [0.356, 0.337, 0.852], [0.571, 0.228, 0.502], [0.071, 0.772, 0.998], [0.429, 0.772, 0.498], [0.929, 0.228, 0.002], [0.641, 0.267, 0.336], [0.141, 0.733, 0.164], [0.359, 0.733, 0.664], [0.859, 0.267, 0.836]], "magnetic_moment_mub_per_fu": 0.00, "final_energy_ev_per_cell": -561.405, "space_group": "P2_1/c, No. 14", "ef_ev_per_atom": -4.26}

=====

# 7
{"formula": "Tm2Co12P7", "functional": "PBE-GGA", "state": "optimized geometry", "cell": [[-5.399, 0.407, -7.177], [-1.299, -6.332, 6.249], [-2.185, 2.193, 1.768]], "species": ["Tm", "Tm", "Co", "Co", "Co", "Co", "Co", "Co", "Co", "Co", "Co", "Co", "Co", "Co", "P", "P", "P", "P", "P", "P", "P"], "fractional_positions": [[0.667, 0.333, 0.000], [0.000, 0.000, 0.500], [0.769, 0.727, 0.000], [0.273, 0.042, 0.000], [0.958, 0.231, 0.000], [0.717, 0.104, 0.500], [0.896, 0.613, 0.500], [0.387, 0.283, 0.500], [0.488, 0.940, 0.000], [0.060, 0.548, 0.000], [0.452, 0.512, 0.000], [0.570, 0.771, 0.500], [0.229, 0.799, 0.500], [0.201, 0.430, 0.500], [0.333, 0.667, 0.000], [0.446, 0.070, 0.500], [0.930, 0.376, 0.500], [0.624, 0.554, 0.500], [0.741, 0.960, 0.000], [0.040, 0.781, 0.000], [0.219, 0.259, 0.000]], "final_energy_ev_per_cell": -149.194, "space_group": "P-6, No. 174", "ef_ev_per_atom": -0.81}

=====

# 8
{"formula": "YGeIr", "functional": "PBE-GGA", "state": "optimized geometry", "cell": [[-2.618, -0.441, -3.392], [-3.370, -5.030, 3.255], [-4.799, 5.177, 3.031]], "species": ["Y", "Y", "Y", "Y", "Ge", "Ge", "Ge", "Ge", "Ir", "Ir", "Ir", "Ir"], "fractional_positions": [[0.250, 0.007, 0.309], [0.250, 0.507, 0.191], [0.750, 0.993, 0.691], [0.750, 0.493, 0.809], [0.250, 0.291, 0.612], [0.250, 0.791, 0.888], [0.750, 0.709, 0.388], [0.750, 0.209, 0.112], [0.250, 0.160, 0.936], [0.250, 0.660, 0.564], [0.750, 0.840, 0.064], [0.750, 0.340, 0.436]], "final_energy_ev_per_cell": -90.967, "space_group": "Pnma, No. 62", "ef_ev_per_atom": -0.94}

=====

# 9
{"formula": "Ar", "functional": "PBE-GGA", "state": "optimized geometry", "cell": [[0.083, -3.713, -1.454], [0.833, -3.067, 2.410], [-2.864, -2.594, 0.990]], "species": ["Ar"], "fractional_positions": [[0.000, 0.000, 0.000]], "final_energy_ev_per_cell": -0.069, "space_group": "Fm-3m, No. 225", "ef_ev_per_atom": 0.00}

=====

# 10
{"formula": "Re2Cl5O4", "functional": "PBE-GGA", "state": "optimized geometry", "cell": [[5.725, 0.000, 0.000], [1.515, 8.926, 0.000], [1.658, 4.115, 10.492]], "species": ["Re", "Re", "Re", "Re", "Cl", "Cl", "Cl", "Cl", "Cl", "Cl", "Cl", "Cl", "Cl", "Cl", "O", "O", "O", "O", "O", "O", "O", "O"], "fractional_positions": [[0.214, 0.401, 0.352], [0.353, 0.895, 0.810], [0.786, 0.599, 0.648], [0.647, 0.105, 0.190], [0.251, 0.637, 0.884], [0.606, 0.806, 0.968], [0.749, 0.363, 0.116], [0.771, 0.069, 0.383], [0.394, 0.194, 0.032], [0.229, 0.931, 0.617], [0.045, 0.627, 0.213], [0.424, 0.897, 0.296], [0.955, 0.373, 0.787], [0.576, 0.103, 0.704], [0.979, 0.667, 0.514], [0.707, 0.748, 0.714], [0.117, 0.988, 0.873], [0.293, 0.252, 0.286], [0.883, 0.012, 0.127], [0.021, 0.333, 0.486], [0.467, 0.439, 0.395], [0.533, 0.561, 0.605]], "final_energy_ev_per_cell": -131.033, "space_group": "P-1, No. 2", "ef_ev_per_atom": -1.30}

=====

# 11
{"formula": "Ho2Mn3Si5", "functional": "PBE-GGA", "state": "optimized geometry", "cell": [[-5.886, 7.926, -3.759], [1.525, -3.534, -9.839], [-4.421, -3.083, 0.422]], "species": ["Ho", "Ho", "Ho", "Ho", "Ho", "Ho", "Ho", "Ho", "Mn", "Mn", "Mn", "Mn", "Mn", "Mn", "Mn", "Mn", "Mn", "Mn", "Mn", "Mn", "Si", "Si", "Si", "Si", "Si", "Si", "Si", "Si", "Si", "Si", "Si", "Si", "Si", "Si", "Si", "Si", "Si", "Si", "Si", "Si"], "fractional_positions": [[0.236, 0.076, 0.000], [0.076, 0.764, 0.000], [0.924, 0.236, 0.000], [0.764, 0.924, 0.000], [0.264, 0.576, 0.500], [0.736, 0.424, 0.500], [0.576, 0.736, 0.500], [0.424, 0.264, 0.500], [0.500, 0.000, 0.250], [0.000, 0.500, 0.250], [0.500, 0.000, 0.750], [0.000, 0.500, 0.750], [0.354, 0.379, 0.000], [0.379, 0.646, 0.000], [0.621, 0.354, 0.000], [0.646, 0.621, 0.000], [0.146, 0.879, 0.500], [0.854, 0.121, 0.500], [0.879, 0.854, 0.500], [0.121, 0.146, 0.500], [0.000, 0.000, 0.258], [0.500, 0.500, 0.242], [0.000, 0.000, 0.742], [0.500, 0.500, 0.758], [0.675, 0.175, 0.250], [0.175, 0.325, 0.250], [0.825, 0.675, 0.250], [0.325, 0.825, 0.250], [0.325, 0.825, 0.750], [0.825, 0.675, 0.750], [0.175, 0.325, 0.750], [0.675, 0.175, 0.750], [0.476, 0.185, 0.000], [0.185, 0.524, 0.000], [0.815, 0.476, 0.000], [0.524, 0.815, 0.000], [0.024, 0.685, 0.500], [0.976, 0.315, 0.500], [0.685, 0.976, 0.500], [0.315, 0.024, 0.500]], "final_energy_ev_per_cell": -280.261, "space_group": "P4/mnc, No. 128", "ef_ev_per_atom": -0.59}

=====

# 12
{"formula": "Th7Te12", "functional": "PBE-GGA", "state": "optimized geometry", "cell": [[-4.644, 11.017, 3.924], [-5.785, -10.733, 3.110], [2.426, -0.262, 3.607]], "species": ["Th", "Th", "Th", "Th", "Th", "Th", "Th", "Te", "Te", "Te", "Te", "Te", "Te", "Te", "Te", "Te", "Te", "Te", "Te"], "fractional_positions": [[0.722, 0.160, 0.000], [0.840, 0.562, 0.000], [0.438, 0.278, 0.000], [0.548, 0.712, 0.500], [0.288, 0.837, 0.500], [0.163, 0.452, 0.500], [0.000, 0.000, 0.000], [0.745, 0.753, 0.000], [0.247, 0.992, 0.000], [0.008, 0.255, 0.000], [0.492, 0.867, 0.000], [0.133, 0.625, 0.000], [0.375, 0.508, 0.000], [0.864, 0.385, 0.500], [0.217, 0.214, 0.500], [0.997, 0.783, 0.500], [0.786, 0.003, 0.500], [0.522, 0.136, 0.500], [0.615, 0.478, 0.500]], "final_energy_ev_per_cell": -113.000, "space_group": "P-6, No. 174", "ef_ev_per_atom": -1.50}

=====

# 13
{"formula": "LiTm2Cl2O2", "functional": "PBE-GGA", "state": "optimized geometry", "cell": [[-3.032, -1.008, 2.277], [1.971, -3.164, 1.224], [2.909, 3.996, 5.644]], "species": ["Li", "Tm", "Tm", "Cl", "Cl", "O", "O"], "fractional_positions": [[0.000, 0.500, 0.902], [0.000, 0.500, 0.243], [0.500, 0.000, 0.864], [0.000, 0.500, 0.606], [0.500, 0.000, 0.332], [0.000, 0.000, 0.981], [0.500, 0.500, 0.981]], "magnetic_moment_mub_per_fu": 0.03, "final_energy_ev_per_cell": -39.723, "space_group": "P4mm, No. 99", "ef_ev_per_atom": -2.38}

=====

# 14
{"formula": "MgMo3Se4S2", "functional": "PBE-GGA", "state": "optimized geometry", "cell": [[3.283, 0.000, 0.000], [-1.641, 2.843, 0.002], [0.000, 0.023, 36.441]], "species": ["Mg", "Mo", "Mo", "Mo", "Se", "Se", "Se", "Se", "S", "S"], "fractional_positions": [[0.999, 0.999, 0.241], [0.333, 0.667, 0.108], [0.333, 0.667, 0.578], [0.667, 0.334, 0.353], [0.667, 0.334, 0.062], [0.667, 0.334, 0.532], [0.666, 0.332, 0.155], [0.666, 0.332, 0.625], [0.333, 0.667, 0.395], [0.334, 0.668, 0.311]], "magnetic_moment_mub_per_fu": 0.02, "final_energy_ev_per_cell": -62.529, "space_group": "Cm, No. 8", "ef_ev_per_atom": -0.71}

=====

# 15
{"formula": "Sm5Mg", "functional": "PBE-GGA", "state": "optimized geometry", "cell": [[1.823, -9.152, 0.000], [1.823, 9.152, 0.000], [0.000, 0.000, 5.757]], "species": ["Sm", "Sm", "Sm", "Sm", "Sm", "Mg"], "fractional_positions": [[0.997, 0.003, 0.000], [0.327, 0.673, 0.000], [0.667, 0.333, 0.000], [0.445, 0.555, 0.500], [0.118, 0.882, 0.500], [0.779, 0.221, 0.500]], "magnetic_moment_mub_per_fu": 0.00, "final_energy_ev_per_cell": -24.953, "space_group": "Amm2, No. 38", "ef_ev_per_atom": 0.04}